Density functional theory data (PBE+U) for crystalline LuCoO3 at its relaxed geometry.

Properties
ΔE_f (eV per atom): -2.64
Theoretical density (Mg/m³): 9.28
E (MP2020) (eV/atom): -7.939

Cell and atoms, written as POSCAR:
```
LuCoO3
1.0
-4.3918 2.0798 -1.4365
-0.8770 -4.1857 -3.3789
-3.4495 -3.5920 5.3452
O Co Lu
12 4 4
Cartesian
-1.2817 -1.0913 -1.0002 O
-2.6193 -2.4842 1.0725 O
-4.7502 -4.1418 1.6400 O
-5.5944 -3.0865 -3.1882 O
-7.4366 -4.6067 1.5299 O
-3.1239 -2.6114 3.7180 O
-6.4428 -2.7768 3.4010 O
-3.6131 -4.3140 -0.7985 O
-3.9681 -1.5562 -1.1103 O
-6.0990 -3.2138 -0.5428 O
-5.1052 -1.3839 1.3283 O
-2.2755 -2.9212 -2.8712 O
-2.6344 -1.0530 -2.4077 Co
0.0000 0.0000 0.0000 Co
-4.3591 -2.8490 0.2649 Co
-1.7247 -1.7960 2.6726 Co
-5.6958 -5.4550 0.1472 Lu
-7.2413 -2.4226 1.1877 Lu
-1.4769 -3.2754 -0.6580 Lu
-3.0224 -0.2430 0.3825 Lu
```

Density functional theory data (PBE+U) for crystalline K5Mo6IO29 at its relaxed geometry.

Properties
ΔE_f (eV per atom): -1.46
Theoretical density (Mg/m³): 3.26
E (MP2020) (eV/atom): -6.717

Cell and atoms, written as POSCAR:
```
K5Mo6IO29
1.0
7.6165 0.0000 0.0000
0.4271 10.2912 0.0000
1.7925 2.1089 17.7119
K Mo O I
10 12 58 2
Cartesian
3.6709 10.3459 3.7409 K
3.3485 3.5309 8.4810 K
8.0626 6.7418 15.1190 K
8.1099 10.2533 17.6975 K
7.6267 4.9454 10.7713 K
1.7734 5.6583 2.5929 K
6.1651 2.0542 13.9710 K
6.4875 8.8693 9.2309 K
2.2093 7.4548 6.9406 K
1.7261 2.1468 0.0145 K
3.6482 6.7785 10.8484 Mo
6.5014 0.8372 2.1671 Mo
7.0916 2.4396 7.7418 Mo
5.5284 3.9426 1.3252 Mo
3.3346 11.5630 15.5448 Mo
4.3108 6.0366 14.0421 Mo
2.7444 9.9606 9.9702 Mo
2.2598 2.0479 12.2855 Mo
5.5252 6.3636 3.6699 Mo
7.5762 10.3523 5.4264 Mo
6.1878 5.6217 6.8635 Mo
4.3076 8.4576 16.3867 Mo
7.3853 3.9692 15.8131 O
2.9124 7.9063 14.5223 O
6.6213 9.3822 6.5284 O
5.8172 1.9431 5.8096 O
5.2936 7.1852 15.3008 O
4.5424 5.2150 2.4111 O
4.6881 6.3977 7.2869 O
8.3555 3.1494 8.7221 O
6.6658 6.5566 5.2267 O
6.5009 7.2656 2.5445 O
9.1005 2.1520 16.0729 O
3.2147 3.0179 11.1836 O
0.7355 10.2482 1.6390 O
5.8535 3.9514 7.7993 O
4.2251 9.6874 6.5394 O
3.1702 5.8435 12.4852 O
8.1255 1.1932 6.6832 O
7.4254 6.3121 7.8999 O
3.6119 11.0434 8.9267 O
1.3445 9.3676 4.9872 O
2.1299 2.9309 3.5708 O
5.6109 2.7128 11.1725 O
7.7549 8.0323 12.5566 O
8.4915 3.0325 12.7247 O
6.8443 2.4740 1.1858 O
4.1904 3.2230 0.4747 O
2.4106 6.0880 9.8121 O
2.0811 4.3679 5.1554 O
3.5375 7.3748 17.5196 O
5.6872 5.0327 13.6121 O
5.1993 2.4950 3.1852 O
2.9917 9.9262 16.5262 O
1.7105 11.2069 11.0288 O
7.1027 9.9429 12.2172 O
6.2241 1.3568 8.7852 O
7.5512 3.9310 5.8642 O
4.6367 9.9052 14.5267 O
3.3351 5.1345 15.1674 O
5.0939 4.5179 5.0889 O
6.4944 10.1934 3.8400 O
2.1680 10.4897 13.7876 O
4.1488 7.3674 4.0999 O
4.0188 10.4571 11.9023 O
4.7421 7.8823 12.6230 O
6.2985 5.0253 0.1924 O
6.9236 4.4938 3.1896 O
4.7009 12.2153 16.4140 O
5.1351 0.1849 1.2980 O
2.7333 2.4573 5.4947 O
5.6456 9.1772 17.2373 O
1.4805 9.2507 8.9898 O
7.6680 1.9105 3.9243 O
2.4507 8.4310 1.8989 O
2.2848 8.4691 11.8477 O
3.9825 8.4488 9.9127 O
3.3416 2.2067 13.8720 O
7.7061 9.4693 14.1412 O
5.1479 6.0025 10.4250 O
6.3702 3.2262 4.5075 I
3.4658 9.1739 13.2044 I
```

Density functional theory data (PBE+U) for crystalline Nd4Co3O10 at its relaxed geometry.

Properties
ΔE_f (eV per atom): -2.73
Theoretical density (Mg/m³): 7.22
E (MP2020) (eV/atom): -8.020

Cell and atoms, written as POSCAR:
```
Nd4Co3O10
1.0
5.5841 0.0000 0.0000
0.0000 5.4301 0.0000
0.0000 0.3823 27.7320
Nd O Co
16 40 12
Cartesian
5.4826 0.2744 19.4182 Nd
0.1015 5.5380 8.3139 Nd
2.8936 2.9894 19.4182 Nd
2.7612 2.6344 11.9662 Nd
2.7956 5.5948 25.8503 Nd
5.4848 2.7591 5.5342 Nd
5.5806 2.8798 25.8503 Nd
2.8914 5.4742 5.5342 Nd
0.0993 3.0532 22.1978 Nd
2.7885 0.2175 1.8817 Nd
2.6928 0.3382 22.1978 Nd
0.0308 5.3494 11.9662 Nd
5.5533 0.4629 15.7659 Nd
0.0036 2.9326 1.8817 Nd
2.6906 2.8229 8.3139 Nd
2.8229 3.1780 15.7659 Nd
1.3553 1.6311 18.0959 O
3.2469 3.1854 25.8389 O
0.4753 2.8719 15.7455 O
4.2022 1.4174 3.6497 O
4.2289 4.1813 9.6361 O
1.4101 1.6799 24.0824 O
0.4548 5.3420 1.8931 O
2.3372 2.6270 1.8931 O
2.4176 3.0652 21.6822 O
1.0818 4.2358 27.4117 O
4.2329 4.4366 17.5017 O
0.3745 0.3501 21.6822 O
1.4025 1.3980 4.2076 O
4.1473 1.4662 9.6361 O
5.1088 2.9405 11.9866 O
4.4078 4.5436 14.2248 O
3.2674 0.2254 11.9866 O
2.4086 5.4142 7.7971 O
4.5024 1.5766 0.3203 O
5.2096 5.4622 6.0499 O
5.1293 0.4704 25.8389 O
1.6158 3.9838 13.5072 O
5.2006 3.1132 19.9349 O
4.1946 1.6993 23.5245 O
3.8738 4.2916 0.3203 O
1.1763 1.2688 13.5072 O
3.9684 1.8286 14.2248 O
4.1433 1.7215 17.5017 O
4.1740 4.1324 3.6497 O
2.3168 5.5869 15.7455 O
1.3819 4.3950 24.0824 O
3.1666 2.7472 6.0499 O
1.3512 1.3758 10.2304 O
1.4368 4.3461 18.0959 O
0.3835 2.6992 7.7971 O
1.4408 4.0908 10.2304 O
1.7103 1.5207 27.4117 O
3.1756 0.3982 19.9349 O
1.3896 4.1130 4.2076 O
4.1816 4.4144 23.5245 O
0.0000 0.0000 0.0000 Co
5.5675 0.3312 23.8418 Co
2.7921 0.1912 13.8660 Co
0.0242 3.0306 17.7583 Co
0.0166 5.4812 3.8903 Co
5.5599 2.7817 9.9738 Co
0.0000 2.9062 13.8660 Co
2.8087 3.0463 23.8418 Co
2.7679 0.3156 17.7583 Co
2.7754 2.7661 3.8903 Co
2.8162 5.4968 9.9738 Co
2.7921 2.7150 0.0000 Co
```